No. 1
Mg2Ga PBE optimized geometry; mass density = 3.17 g/cm3; ΔE_f = -64 meV/atom
1.0
5.667 -1.529 0.000
5.667 1.529 0.000
-2.646 0.000 7.162
Mg Ga
4 2
Cartesian
-0.476 0.000 2.289
1.506 0.000 6.895
7.183 0.000 0.267
9.165 0.000 4.873
2.557 0.000 2.526
6.132 0.000 4.636


No. 2
MgGa3 PBE optimized geometry; mass density = 5.09 g/cm3; ΔE_f = -76 meV/atom
1.0
5.902 0.000 0.000
-2.951 5.111 0.000
0.000 0.000 5.046
Mg Ga
2 6
Cartesian
0.000 3.407 1.262
2.951 1.704 3.785
0.000 1.669 3.785
-1.506 4.277 3.785
1.445 0.834 1.262
1.506 4.277 3.785
4.457 0.834 1.262
2.951 3.442 1.262


No. 3
Mg2Ga PBE optimized geometry; mass density = 3.21 g/cm3; ΔE_f = -75 meV/atom
1.0
5.592 -1.513 0.000
5.592 1.513 0.000
-2.604 0.000 7.243
Mg Ga
4 2
Cartesian
1.454 0.000 0.184
0.317 0.000 4.523
8.263 0.000 2.720
7.125 0.000 7.060
3.305 0.000 5.134
5.274 0.000 2.109


No. 4
MgGa PBE optimized geometry; mass density = 3.91 g/cm3; ΔE_f = -106 meV/atom
1.0
5.313 -1.603 0.000
5.313 1.603 0.000
-2.335 0.000 7.029
Mg Ga
3 3
Cartesian
0.000 0.000 0.000
-0.938 0.000 4.240
3.112 0.000 1.789
1.932 0.000 4.563
6.011 0.000 2.434
5.476 0.000 6.421


No. 5
Mg2Ga5 PBE optimized geometry; mass density = 4.87 g/cm3; ΔE_f = -124 meV/atom
1.0
-4.331 4.331 3.609
4.331 -4.331 3.609
4.331 4.331 -3.609
Mg Ga
4 10
Cartesian
1.727 1.727 0.000
2.604 -2.604 3.609
-2.604 2.604 3.609
2.604 2.604 3.609
4.331 1.759 -1.308
0.000 0.000 1.516
1.759 4.331 -1.308
2.572 0.000 2.301
4.331 1.759 1.308
0.000 2.572 2.301
1.759 4.331 1.308
2.572 0.000 4.917
0.000 0.000 5.701
0.000 2.572 4.917


No. 6
Mg5Ga2 PBE optimized geometry; mass density = 2.98 g/cm3; ΔE_f = -129 meV/atom
1.0
-3.515 6.863 3.012
3.515 -6.863 3.012
3.515 6.863 -3.012
Mg Ga
10 4
Cartesian
3.515 3.672 -1.506
4.599 1.147 0.000
0.000 0.000 1.506
1.084 5.716 0.000
0.000 3.191 1.506
3.515 3.672 1.506
2.430 1.147 3.012
0.000 0.000 4.519
-1.084 5.716 3.012
0.000 3.191 4.519
1.856 1.682 0.000
1.856 -1.682 3.012
1.659 8.545 0.000
1.659 5.181 3.012


No. 7
MgGa2 PBE optimized geometry; mass density = 4.69 g/cm3; ΔE_f = -75 meV/atom
1.0
2.619 1.512 4.877
-2.619 1.512 4.877
0.000 -3.024 4.877
Mg Ga
2 4
Cartesian
0.000 0.000 2.445
0.000 0.000 12.187
-1.743 -0.006 4.877
-1.743 0.006 9.754
0.000 0.000 7.316
0.867 1.512 4.877


No. 8
MgGa PBE optimized geometry; mass density = 3.94 g/cm3; ΔE_f = -101 meV/atom
1.0
-5.204 5.204 2.929
5.204 -5.204 2.929
5.204 5.204 -2.929
Mg Ga
8 8
Cartesian
3.707 -3.576 2.732
1.497 3.576 -0.197
6.178 1.105 1.267
0.975 1.105 1.662
4.229 4.099 1.267
-0.975 4.099 1.662
3.707 1.627 3.126
1.497 8.780 0.197
4.045 4.270 -1.599
3.535 1.444 0.134
4.045 -0.933 1.599
1.668 -1.444 3.063
3.535 6.647 -0.134
1.158 6.137 1.330
1.668 3.760 2.795
1.158 0.933 4.528


No. 9
Mg2Ga PBE optimized geometry; mass density = 3.15 g/cm3; ΔE_f = -55 meV/atom
1.0
3.118 0.000 0.000
-1.559 2.700 0.000
0.000 0.000 14.829
Mg Ga
4 2
Cartesian
0.000 0.000 0.000
0.000 0.000 4.781
0.000 0.000 10.048
0.000 1.800 7.414
0.000 1.800 2.410
0.000 1.800 12.419


No. 10
MgGa2 PBE optimized geometry; mass density = 4.68 g/cm3; ΔE_f = -45 meV/atom
1.0
4.872 0.000 0.000
0.000 1.626 7.329
0.000 -1.626 7.329
Mg Ga
2 4
Cartesian
0.000 0.000 0.000
0.000 0.000 4.714
0.000 0.000 9.699
2.436 0.000 1.681
2.436 0.000 6.436
2.436 0.000 11.328


No. 11
MgGa2 PBE optimized geometry; mass density = 4.72 g/cm3; ΔE_f = -60 meV/atom
1.0
1.614 -7.288 0.000
1.614 7.288 0.000
0.000 0.000 4.893
Mg Ga
2 4
Cartesian
1.614 5.695 3.670
1.614 -5.695 1.223
1.614 4.051 1.223
1.614 0.842 3.670
1.614 -0.842 1.223
1.614 -4.051 3.670


No. 12
MgGa2 PBE optimized geometry; mass density = 4.55 g/cm3; ΔE_f = 9 meV/atom
1.0
3.075 0.000 0.000
-1.537 2.663 0.000
0.000 0.000 14.598
Mg Ga
2 4
Cartesian
0.000 1.775 5.951
1.537 0.888 8.647
0.000 1.775 1.244
0.000 1.775 11.024
1.537 0.888 3.574
1.537 0.888 13.354